1.
DFT (r²SCAN) results for a relaxed structure of Li4UO5.

Output
Crystal system: tetragonal
VASP energy, eV per cell: -294.17
Formation energy, meV per atom: -2773

abc: 6.671 6.671 4.425
angles: 90.00 90.00 90.00
Space group I4/m (No. 87)
Asymmetric unit:
Li  0.082  0.686  0.000 x8
U  0.000  0.000  0.500 x2
O  0.000  0.000  0.000 x2
O  0.088  0.711  0.500 x8

=====

2.
DFT (r²SCAN) results for a relaxed structure of SrMnO3.

Output
Crystal system: hexagonal
VASP energy, eV per cell: -365.82
Formation energy, meV per atom: -2645

abc: 5.4214 5.4214 13.3775
angles: 90.00 90.00 120.00
Space group P6_3/mmc (No. 194)
Asymmetric unit:
Sr  0.0000  0.0000  0.2500 x2
Sr  0.3333  0.6667  0.0898 x4
Mn  0.0000  0.0000  0.0000 x2
Mn  0.3333  0.6667  0.6559 x4
O  0.0288  0.5144  0.7500 x6
O  0.1647  0.3293  0.5811 x12

=====

3.
DFT (r²SCAN) results for a relaxed structure of Pa2S3.

Output
Crystal system: trigonal
VASP energy, eV per cell: -1116.85
Formation energy, meV per atom: -1665

abc: 6.7987 6.7987 18.7499
angles: 90.00 90.00 120.00
Space group R-3c (No. 167, hexagonal axes)
Asymmetric unit:
Pa  0.0000  0.0000  0.1575 x12
S  0.0000  0.3130  0.2500 x18

=====

4.
DFT (r²SCAN) results for a relaxed structure of YbErRh2.

Output
Crystal system: cubic
VASP energy, eV per cell: -491.55
Formation energy, meV per atom: -1040

abc: 6.709 6.709 6.709
angles: 90.00 90.00 90.00
Space group Fm-3m (No. 225)
Asymmetric unit:
Yb  0.000  0.000  0.000 x4
Er  0.000  0.000  0.500 x4
Rh  0.250  0.250  0.250 x8

=====

5.
DFT (r²SCAN) results for a relaxed structure of Rb2MgO2.

Output
Crystal system: orthorhombic
VASP energy, eV per cell: -212.63
Formation energy, meV per atom: -1836

abc: 10.948 6.325 5.484
angles: 90.00 90.00 90.00
Space group Pbcn (No. 60)
Asymmetric unit:
Rb  0.154  0.140  0.002 x8
Mg  0.000  0.500  0.250 x4
O  0.091  0.331  0.500 x8

=====

6.
DFT (r²SCAN) results for a relaxed structure of Nd2Ir2O7.

Output
Crystal system: cubic
VASP energy, eV per cell: -1837.04
Formation energy, meV per atom: -2206

abc: 10.410 10.410 10.410
angles: 90.00 90.00 90.00
Space group Fd-3m (No. 227, origin choice 2)
Asymmetric unit:
Nd  0.000  0.000  0.000 x16
Ir  0.000  0.000  0.500 x16
O  0.082  0.375  0.875 x48
O  0.125  0.125  0.125 x8